(1)
36
Lattice="6.090 0.000 0.000 0.000 6.314 0.000 0.000 0.000 17.373" Properties=species:S:1:pos:R:3 comment="Ba2Tl2O5 (meta-GGA r2SCAN, optimized geometry)" spacegroup="Pnma, No. 62" pbc="T T T"
Tl 0.000 0.000 0.000
Tl 3.045 3.157 0.000
O 3.264 3.559 6.291
Tl 0.000 0.000 8.687
O 4.509 4.614 8.891
O 0.701 2.396 4.343
Ba 6.069 3.252 6.761
Tl 0.138 5.985 13.030
O 2.826 2.755 11.082
Tl 2.907 2.829 4.343
Ba 0.020 3.061 10.612
Tl 5.951 0.328 4.343
Ba 3.065 0.095 15.447
O 1.464 4.857 8.891
O 4.625 1.457 8.482
O 0.219 5.912 6.291
Ba 3.065 0.095 10.612
O 0.219 5.912 2.396
O 3.264 3.559 2.396
O 5.871 0.402 14.977
O 5.389 3.918 13.030
Ba 3.024 6.218 1.926
O 1.580 1.700 0.205
Ba 0.020 3.061 15.447
O 5.871 0.402 11.082
O 1.464 4.857 17.168
Tl 3.183 3.485 13.030
O 1.580 1.700 8.482
O 4.509 4.614 17.168
O 3.746 0.761 4.343
O 2.344 5.553 13.030
Tl 3.045 3.157 8.687
Ba 6.069 3.252 1.926
Ba 3.024 6.218 6.761
O 4.625 1.457 0.205
O 2.826 2.755 14.977


(2)
8
Lattice="-9.796 1.493 6.274 -2.306 -2.884 0.150 9.663 -3.151 0.606" Properties=species:S:1:pos:R:3 comment="FeCl3 (meta-GGA r2SCAN, optimized geometry)" spacegroup="P1, No. 1" pbc="T T T"
Cl -2.569 -0.763 4.374
Fe -6.789 0.302 5.306
Cl 4.213 -2.047 0.563
Cl 3.453 -3.453 3.953
Cl -9.016 -0.268 5.639
Cl 0.781 -1.142 3.072
Cl 5.777 -5.374 1.894
Fe -3.193 -2.693 3.245


(3)
4
Lattice="0.000 3.149 3.149 3.149 0.000 3.149 3.149 3.149 0.000" Properties=species:S:1:pos:R:3 comment="LiCd2Ni (meta-GGA r2SCAN, optimized geometry)" spacegroup="Fm-3m, No. 225" pbc="T T T"
Cd 4.723 4.723 4.723
Li 3.149 3.149 3.149
Cd 1.574 1.574 1.574
Ni 0.000 0.000 0.000


(4)
3
Lattice="0.000 3.103 3.103 3.103 0.000 3.103 3.103 3.103 0.000" Properties=species:S:1:pos:R:3 comment="MnSbPt (meta-GGA r2SCAN, optimized geometry)" spacegroup="F-43m, No. 216" pbc="T T T"
Pt 1.552 1.552 1.552
Mn 3.103 3.103 3.103
Sb 0.000 0.000 0.000


(5)
35
Lattice="2.257 -4.197 -2.860 7.723 5.112 -1.587 0.604 -2.852 10.005" Properties=species:S:1:pos:R:3 comment="Fe3Pb8F24 (meta-GGA r2SCAN, optimized geometry)" spacegroup="P-1, No. 2" pbc="T T T"
F 5.826 1.023 -0.360
Fe 0.000 0.000 0.000
F 8.196 0.721 2.591
F 7.135 2.825 4.044
F 8.548 1.496 -3.176
F 5.153 -3.718 3.303
Fe 7.065 1.271 -1.838
F 6.507 -0.830 6.815
F 2.387 -2.658 2.968
Pb 6.835 -1.067 1.354
F 6.802 -0.541 -2.537
Pb 6.909 -3.313 4.800
Pb 3.050 -4.777 3.935
F 3.191 -5.096 6.759
F 5.430 1.781 2.256
Pb 7.533 2.840 1.623
F 7.392 3.159 -1.201
F 4.201 -0.835 1.750
F 2.138 -2.631 6.129
F 9.317 -1.921 4.087
F 2.035 -3.433 8.734
F 5.310 1.030 5.117
F 3.781 -1.396 8.096
F 8.445 0.694 -0.570
F 6.382 -1.102 3.809
F 1.266 -0.016 1.472
F 4.076 -1.107 -1.257
Pb 3.749 -0.870 4.205
F 5.273 -2.967 0.441
F 3.448 -4.762 1.515
Pb 2.931 -2.566 0.541
Pb 7.652 0.629 5.017
F 4.757 -2.960 5.918
Pb 3.674 1.376 0.759
Fe 3.518 -3.208 7.397


(6)
11
Lattice="4.095 -7.092 0.000 4.095 7.092 0.000 0.000 0.000 4.483" Properties=species:S:1:pos:R:3 comment="RbIn6Au4 (meta-GGA r2SCAN, optimized geometry)" spacegroup="P-6m2, No. 187" pbc="T T T"
In 4.095 4.293 2.241
Au 5.664 -1.458 2.241
In 2.424 1.400 2.241
In 5.719 -3.302 0.000
Au 2.526 -1.458 2.241
In 5.765 1.400 2.241
In 4.095 -0.488 0.000
In 2.470 -3.302 0.000
Au 4.095 -4.176 2.241
Rb 0.000 0.000 0.000
Au 4.095 2.364 0.000


(7)
14
Lattice="-0.516 0.405 -6.298 4.843 -5.304 -0.737 -6.142 -4.732 3.377" Properties=species:S:1:pos:R:3 comment="Dy5Ru2 (meta-GGA r2SCAN, optimized geometry)" spacegroup="C2/c, No. 15" pbc="T T T"
Dy -4.982 -3.988 -2.314
Dy -1.468 -3.458 -2.812
Ru -3.032 -5.691 -1.500
Dy -2.808 -8.476 -0.819
Dy 0.993 -1.156 -2.839
Dy 0.346 -2.678 -5.844
Dy -2.692 -3.584 0.464
Ru 1.218 -3.940 -2.158
Ru -1.426 -1.112 -4.515
Dy 0.877 -6.048 -4.122
Dy 3.167 -5.644 -1.344
Ru -0.389 -8.520 0.857
Dy -2.161 -6.954 2.187
Dy -0.347 -6.174 -0.846


(8)
56
Lattice="0.206 3.286 -7.131 -5.556 -5.464 0.982 -10.196 11.247 4.888" Properties=species:S:1:pos:R:3 comment="CsLu3F10 (meta-GGA r2SCAN, optimized geometry)" spacegroup="Cmce, No. 64" pbc="T T T"
Cs -2.675 -1.089 -3.074
F -10.126 11.438 -1.028
Lu -3.949 5.825 -1.537
F -10.245 7.111 0.608
F -7.913 -2.713 2.059
Lu -1.154 2.764 -2.853
F -10.886 4.810 -1.047
F -7.400 8.126 -2.227
Lu -11.702 7.400 4.684
F -5.485 2.813 -4.905
F -13.071 6.829 3.167
F -13.168 10.898 -1.085
F -10.679 8.622 3.210
Lu -3.872 2.290 -0.336
F -8.248 0.907 -2.161
F -3.958 0.214 0.139
Lu -11.674 6.779 -0.925
F -5.263 2.122 1.269
F -5.434 5.198 -2.901
F -8.087 5.950 2.169
F -10.061 6.256 3.645
F -4.660 4.259 -0.213
Lu -6.547 1.201 -3.410
F -11.588 8.855 -1.400
F -12.736 5.167 0.571
F -5.420 -2.369 -0.232
Lu -8.999 7.868 2.150
F -8.146 0.943 0.967
Lu -11.597 3.244 0.277
F -9.223 9.818 1.319
F -5.054 -2.919 -3.252
Cs -7.773 4.534 -0.630
F -8.294 5.524 -3.419
F -7.459 3.119 -3.430
Cs 0.000 0.000 0.000
F -10.283 6.947 -2.530
F -10.492 11.988 1.991
Cs -5.098 5.623 2.444
F -7.298 8.162 0.900
Lu -6.609 4.742 -4.595
F -2.316 1.486 -1.539
Lu -14.392 6.305 1.593
F -6.323 -0.749 -2.579
F -2.810 3.902 -1.831
F -5.621 6.612 -0.347
Lu -8.937 4.327 3.334
F -2.378 -1.829 -0.175
F -2.475 2.240 -4.427
F -9.925 2.457 -0.914
Lu -3.844 1.669 -5.944
F -10.112 3.870 1.640
F -4.867 0.447 -4.471
F -7.633 11.782 -3.320
F -5.301 1.958 -1.868
F -13.230 7.583 0.279
F -7.252 3.545 2.159


(9)
12
Lattice="-3.739 -1.832 0.502 2.463 -1.105 -3.210 6.703 -11.212 9.002" Properties=species:S:1:pos:R:3 comment="TbZnGe (meta-GGA r2SCAN, optimized geometry)" spacegroup="P6_3/mmc, No. 194" pbc="T T T"
Zn 1.375 -2.986 -0.657
Tb 0.000 0.000 0.000
Ge 4.514 -8.237 3.559
Zn 4.051 -11.163 6.951
Ge -0.904 -2.874 0.296
Tb 5.027 -8.409 6.752
Zn 2.767 -5.315 1.212
Tb 3.351 -5.606 4.501
Ge 0.912 -5.912 2.735
Tb 1.676 -2.803 2.251
Zn 2.659 -8.834 5.081
Ge 6.331 -11.275 5.998


(10)
4
Lattice="-3.413 -2.468 -1.554 -4.215 1.495 0.399 -2.262 1.337 -3.640" Properties=species:S:1:pos:R:3 comment="ZrScCo2 (meta-GGA r2SCAN, optimized geometry)" spacegroup="Fm-3m, No. 225" pbc="T T T"
Co -2.472 0.091 -1.199
Zr 0.000 0.000 0.000
Sc -4.945 0.182 -2.398
Co -7.417 0.273 -3.596


(11)
28
Lattice="-2.890 -3.003 4.131 7.033 -2.145 3.361 -0.246 8.039 5.671" Properties=species:S:1:pos:R:3 comment="LaMoBrO4 (meta-GGA r2SCAN, optimized geometry)" spacegroup="Pc, No. 7" pbc="T T T"
Br 4.701 -3.192 5.122
O 0.926 0.267 5.538
O 0.541 4.738 4.341
O 0.121 2.813 8.288
O 2.805 1.444 7.113
Mo -0.416 0.984 4.646
Br 1.264 3.437 11.710
La 2.630 3.257 8.765
La 5.982 -0.308 4.344
Br 0.632 7.507 5.906
La -0.158 -1.962 6.415
O 4.018 1.675 10.133
O 3.169 -1.132 9.620
O 1.845 4.143 6.532
O -1.583 -0.345 4.986
O 4.809 -0.425 6.695
O 2.466 2.864 3.917
Mo 3.138 -0.049 6.272
O 3.443 0.151 4.509
O 2.271 -1.512 6.888
Mo -0.142 1.225 9.100
Mo 6.246 3.136 6.676
O -0.757 2.469 5.498
O 5.018 3.175 7.994
La -0.616 4.610 6.698
O 1.528 1.036 9.638
Br 1.175 -2.130 3.456
O 0.301 1.168 2.996


(12)
10
Lattice="-2.896 -1.151 5.543 0.708 -5.642 2.846 3.422 -0.460 5.340" Properties=species:S:1:pos:R:3 comment="K3MoF6 (meta-GGA r2SCAN, optimized geometry)" spacegroup="Fm-3m, No. 225" pbc="T T T"
K 0.308 -1.813 3.432
Mo 0.000 0.000 0.000
F 0.567 -2.528 9.055
F -0.912 -5.352 7.696
F -1.298 -2.277 6.144
K 0.617 -3.626 6.865
F 2.532 -4.976 7.585
F 0.667 -4.725 4.675
F 2.146 -1.900 6.034
K 0.925 -5.439 10.297


(13)
14
Lattice="-0.937 -5.531 1.904 3.835 -2.037 -4.029 5.602 0.755 4.950" Properties=species:S:1:pos:R:3 comment="YGa6 (meta-GGA r2SCAN, optimized geometry)" spacegroup="P4/nbm, No. 125" pbc="T T T"
Ga 3.013 -4.815 4.740
Ga 5.487 -1.998 -1.915
Ga 6.872 -5.042 2.558
Ga 4.784 -3.518 2.539
Ga 6.822 -3.823 0.278
Ga 5.747 -1.015 1.067
Ga 3.716 -3.294 0.286
Ga 2.753 -5.797 1.758
Ga 1.628 -1.770 0.267
Ga 3.077 -5.554 -0.796
Ga 5.423 -1.259 3.620
Y 0.256 -4.657 0.420
Ga 1.678 -2.989 2.546
Y 2.642 -2.910 -2.546


(14)
4
Lattice="5.477 0.000 0.000 0.000 9.207 0.000 0.000 0.000 9.903" Properties=species:S:1:pos:R:3 comment="Cs (meta-GGA r2SCAN, optimized geometry)" spacegroup="Pbcm, No. 57" de_polymorph_mev_per_atom=24 pbc="T T T"
Cs 4.028 2.302 1.059
Cs 1.449 6.905 8.843
Cs 4.028 6.905 3.892
Cs 1.449 2.302 6.011


(15)
8
Lattice="-2.888 3.728 -0.824 -3.775 -1.312 -5.813 -6.645 -1.953 1.340" Properties=species:S:1:pos:R:3 comment="BaP3 (meta-GGA r2SCAN, optimized geometry)" spacegroup="C2/m, No. 12" pbc="T T T"
P -7.573 -0.962 -1.195
P -7.087 2.303 -2.636
Ba -3.789 1.985 -1.342
P -6.221 -1.839 -2.660
P -5.735 1.426 -4.102
Ba -9.519 -1.521 -3.955
P -7.059 1.129 -0.801
P -6.249 -0.666 -4.496


(16)
20
Lattice="6.836 0.000 -1.126 0.000 6.999 0.000 0.018 0.000 8.355" Properties=species:S:1:pos:R:3 comment="Gd2S2O (meta-GGA r2SCAN, optimized geometry)" spacegroup="P2_1/c, No. 14" pbc="T T T"
S 6.362 6.028 1.639
Gd 2.179 6.018 4.469
S 0.492 0.972 5.591
Gd 1.720 3.119 6.924
S 6.650 5.065 6.615
S 2.944 4.471 2.201
O 2.406 0.609 2.804
Gd 1.257 2.519 3.323
S 0.205 1.935 0.615
O 1.031 4.109 4.988
Gd 5.597 4.481 3.906
Gd 1.717 6.618 0.868
S 3.232 5.435 7.177
O 5.824 2.891 2.241
S 3.623 1.565 0.052
Gd 4.675 0.981 2.761
Gd 5.135 3.881 0.305
S 3.910 2.528 5.028
O 4.448 6.390 4.425
Gd 5.138 0.381 6.362


(17)
10
Lattice="4.561 3.698 5.893 0.449 8.301 0.316 -3.742 4.136 6.173" Properties=species:S:1:pos:R:3 comment="Cs3TbCl6 (meta-GGA r2SCAN, optimized geometry)" spacegroup="Fm-3m, No. 225" pbc="T T T"
Cs 0.317 4.034 3.095
Cl 2.802 5.655 6.026
Cl 3.050 10.238 6.201
Cl -1.534 10.479 6.355
Cl -1.781 5.897 6.181
Cs 0.634 8.067 6.191
Cs 0.951 12.101 9.286
Tb 0.000 0.000 0.000
Cl 0.532 8.196 2.948
Cl 0.737 7.939 9.434


(18)
4
Lattice="-0.558 -4.446 -1.027 -3.539 -1.328 -2.617 0.741 -1.479 -4.289" Properties=species:S:1:pos:R:3 comment="Zr2CoOs (meta-GGA r2SCAN, optimized geometry)" spacegroup="Fm-3m, No. 225" pbc="T T T"
Zr 0.000 0.000 0.000
Co -0.839 -1.813 -1.983
Zr -1.678 -3.627 -3.967
Os -2.517 -5.440 -5.950


| no. | formation enthalpy at 0 K (kJ/mol of atoms) |
| --- | --- |
| 1 | -168 |
| 2 | -90 |
| 3 | -11 |
| 4 | -64 |
| 5 | -248 |
| 6 | -31 |
| 7 | -37 |
| 8 | -416 |
| 9 | -76 |
| 10 | -34 |
| 11 | -262 |
| 12 | -274 |
| 13 | -34 |
| 14 | 2 |
| 15 | -75 |
| 16 | -278 |
| 17 | -227 |
| 18 | -51 |